Pr2Br5 | PBE | optimized geometry

Lattice parameters (Å, degrees): 4.1704 8.5322 13.8186 86.81 90.00 90.00
Sites, in units of the cell vectors:
1 Br 0.2500 0.8642 0.9293
2 Br 0.7500 0.3178 0.5135
3 Br 0.2500 0.6822 0.4865
4 Br 0.2500 0.0580 0.6896
5 Pr 0.7500 0.0938 0.8464
6 Pr 0.2500 0.9062 0.1536
7 Br 0.2500 0.3638 0.2818
8 Pr 0.2500 0.4168 0.6566
9 Br 0.7500 0.1358 0.0707
10 Br 0.7500 0.9420 0.3104
11 Br 0.7500 0.6362 0.7182
12 Br 0.7500 0.6577 0.1243
13 Pr 0.7500 0.5832 0.3434
14 Br 0.2500 0.3423 0.8757

Output
- density (kg/m3) = 4609
- total DFT energy (no corrections) (eV/atom) = -4.384